1.
## SrEr2S4 (r2SCAN)

Data for a relaxed structure of SrEr2S4.

Cell lengths 3.952, 11.968, 14.214 Å; angles 90.00, 90.00, 90.00 degrees
Sites, in units of the cell vectors:
S  0.250  0.025  0.284
S  0.750  0.975  0.716
S  0.250  0.128  0.527
S  0.750  0.086  0.077
S  0.250  0.706  0.671
Sr  0.750  0.242  0.663
S  0.750  0.794  0.171
Er  0.750  0.066  0.890
Er  0.750  0.582  0.100
Sr  0.250  0.258  0.163
Er  0.250  0.934  0.110
S  0.250  0.628  0.973
Er  0.750  0.082  0.400
S  0.750  0.586  0.423
S  0.250  0.525  0.216
S  0.750  0.475  0.784
S  0.250  0.914  0.923
Er  0.250  0.918  0.600
Sr  0.250  0.758  0.337
S  0.750  0.872  0.473
Er  0.250  0.418  0.900
S  0.750  0.372  0.027
S  0.250  0.206  0.829
Er  0.250  0.434  0.390
Sr  0.750  0.742  0.837
S  0.750  0.294  0.329
S  0.250  0.414  0.577
Er  0.750  0.566  0.610

Space group: Pnma
Raw total energy in eV per atom: -18.8847

=====

2.
## Er2TeS2 (r2SCAN)

Data for a relaxed structure of Er2TeS2.

Cell lengths 7.453, 7.453, 7.453 Å; angles 147.79, 138.35, 53.60 degrees
Sites, in units of the cell vectors:
S  0.702  0.702  0.000
S  0.298  0.298  0.000
Te  0.000  0.000  0.000
Er  0.833  0.333  0.500
Er  0.167  0.667  0.500

Space group: Immm
Raw total energy in eV per atom: -24.0049

=====

3.
## ErTlS2 (r2SCAN)

Data for a relaxed structure of ErTlS2.

Cell lengths 7.850, 7.850, 7.850 Å; angles 29.29, 29.29, 29.29 degrees
Sites, in units of the cell vectors:
Tl  0.500  0.500  0.500
S  0.268  0.268  0.268
Er  0.000  0.000  0.000
S  0.732  0.732  0.732

Space group: R-3m
Raw total energy in eV per atom: -27.5060

=====

4.
## Er2ZnS4 (r2SCAN)

Data for a relaxed structure of Er2ZnS4.

Cell lengths 6.269, 7.784, 13.363 Å; angles 90.00, 90.00, 90.00 degrees
Sites, in units of the cell vectors:
Zn  0.089  0.250  0.592
Zn  0.411  0.250  0.092
S  0.725  0.250  0.590
S  0.757  0.750  0.570
S  0.225  0.750  0.910
Er  0.000  0.000  0.000
S  0.744  0.987  0.332
Er  0.500  0.000  0.500
S  0.744  0.513  0.332
Er  0.004  0.750  0.734
Er  0.504  0.250  0.766
S  0.244  0.487  0.168
Zn  0.911  0.750  0.408
Er  0.996  0.250  0.266
Er  0.496  0.750  0.234
S  0.257  0.250  0.930
S  0.775  0.250  0.090
S  0.243  0.250  0.430
S  0.275  0.750  0.410
S  0.256  0.013  0.668
S  0.756  0.513  0.832
S  0.256  0.487  0.668
Er  0.500  0.500  0.500
Er  0.000  0.500  0.000
S  0.244  0.013  0.168
Zn  0.589  0.750  0.908
S  0.756  0.987  0.832
S  0.743  0.750  0.070

Space group: Pnma
Raw total energy in eV per atom: -17.5178

=====

5.
## Er2ZrS5 (r2SCAN)

Data for a relaxed structure of Er2ZrS5.

Cell lengths 7.215, 7.672, 11.549 Å; angles 90.00, 90.00, 90.00 degrees
Sites, in units of the cell vectors:
S  0.194  0.750  0.709
S  0.450  0.750  0.498
Er  0.983  0.003  0.820
S  0.694  0.250  0.791
Er  0.017  0.997  0.180
S  0.159  0.037  0.403
Er  0.483  0.503  0.680
S  0.950  0.250  0.002
Er  0.517  0.497  0.320
Zr  0.422  0.750  0.995
Zr  0.922  0.250  0.505
S  0.806  0.250  0.291
S  0.841  0.963  0.597
S  0.159  0.463  0.403
Er  0.017  0.503  0.180
Zr  0.578  0.250  0.005
S  0.672  0.750  0.819
S  0.659  0.537  0.097
S  0.050  0.750  0.998
S  0.659  0.963  0.097
Er  0.483  0.997  0.680
S  0.172  0.250  0.681
Er  0.517  0.003  0.320
S  0.341  0.463  0.903
S  0.828  0.750  0.319
Er  0.983  0.497  0.820
Zr  0.078  0.750  0.495
S  0.841  0.537  0.597
S  0.550  0.250  0.502
S  0.328  0.250  0.181
S  0.306  0.750  0.209
S  0.341  0.037  0.903

Space group: Pnma
Raw total energy in eV per atom: -18.4848

=====

6.
## Er4Sb3 (r2SCAN)

Data for a relaxed structure of Er4Sb3.

Cell lengths 7.864, 7.864, 7.864 Å; angles 109.47, 109.47, 109.47 degrees
Sites, in units of the cell vectors:
Er  0.000  0.355  0.500
Sb  0.750  0.875  0.125
Er  0.500  0.000  0.355
Sb  0.375  0.250  0.625
Er  0.645  0.645  0.645
Sb  0.250  0.625  0.375
Sb  0.125  0.750  0.875
Er  0.855  0.500  0.000
Sb  0.875  0.125  0.750
Er  0.000  0.855  0.500
Er  0.500  0.000  0.855
Er  0.355  0.500  0.000
Sb  0.625  0.375  0.250
Er  0.145  0.145  0.145

Space group: I-43d
Raw total energy in eV per atom: -31.4926

=====

Question: Which value of raw total energy does entry 5 give?
Answer: -18.4848 eV per atom